Compound: NaAlSiO4
Source: the Materials Project
Functional: PBE
Structure: relaxed

Values from the calculation:
E   -1188.87 eV for the cell shown
M_tot   0.000 μB per formula unit
Offset from the most stable computed form   0.007 eV per atom

Cell: 10.1004 10.1004 25.0701 Å, 90.00 90.00 120.00°
Space group P6_1 (No. 169)
Unique sites:
Na (0.0044, 0.0150, 0.0084) x6
Na (0.0207, 0.5647, 0.0161) x6
Na (0.0315, 0.4735, 0.1773) x6
Na (0.0395, 0.4820, 0.8333) x6
Al (0.0981, 0.7713, 0.9003) x6
Al (0.1031, 0.8111, 0.2424) x6
Al (0.1192, 0.7545, 0.5722) x6
Al (0.3143, 0.6695, 0.7376) x6
Si (0.0875, 0.7636, 0.4455) x6
Si (0.1015, 0.7980, 0.7750) x6
Si (0.1337, 0.7782, 0.1162) x6
Si (0.2979, 0.6616, 0.2764) x6
O (0.0048, 0.7564, 0.0719) x6
O (0.0277, 0.2728, 0.1169) x6
O (0.0333, 0.1907, 0.2423) x6
O (0.0355, 0.7227, 0.8338) x6
O (0.0390, 0.7088, 0.5075) x6
O (0.0532, 0.3416, 0.4441) x6
O (0.0542, 0.1915, 0.7744) x6
O (0.0572, 0.7537, 0.1754) x6
O (0.0584, 0.3368, 0.9058) x6
O (0.1456, 0.6807, 0.2736) x6
O (0.1485, 0.6856, 0.7434) x6
O (0.1781, 0.6225, 0.5888) x6
O (0.1795, 0.6449, 0.1067) x6
O (0.2310, 0.7417, 0.4297) x6
O (0.2488, 0.7319, 0.9051) x6
O (0.3014, 0.6774, 0.0044) x6